Record 1
First-principles (PBE-GGA) data for crystalline GaHg3AsSCl4 at its relaxed geometry, as listed in Materials Project.

Geometry as POSCAR:
```
GaHg3AsSCl4
1.0
-3.835 4.188 -4.927
0.607 -7.421 -1.044
-10.393 -1.776 6.580
As Ga Cl Hg S
2 2 8 6 2
Cartesian
-1.646 -3.683 -1.849
-8.323 -0.702 0.146
-2.712 -0.463 1.717
-7.908 -1.352 5.007
-7.473 -6.806 2.992
-7.786 -2.977 3.531
-5.286 1.944 -2.928
-9.452 -4.645 0.450
-4.577 -0.782 2.898
-4.972 -1.884 -3.467
-3.307 -0.216 -0.386
-9.773 -1.670 6.188
-8.373 -0.354 -2.358
-11.356 -7.026 2.868
-6.775 1.247 0.598
-6.475 -2.426 0.081
-11.656 -3.353 3.384
-9.758 -5.426 5.823
-11.455 -1.237 2.129
-4.778 -4.218 0.134
```

Summary:
The formation energy comes out at -965 meV/atom. The calculation puts the theoretical density at 5.024 g cm⁻³. Its symmetry is No. 186.

---

Record 2
First-principles (PBE-GGA) data for crystalline GaHg3AsSCl4 at its relaxed geometry, as listed in Materials Project.

Geometry as POSCAR:
```
GaHg3AsSCl4
1.0
1.107 4.959 5.543
5.793 -2.243 -4.262
-2.272 9.477 -8.056
Cl Hg Ga S As
8 6 2 2 2
Cartesian
4.384 4.610 0.085
-2.135 8.911 -7.574
0.421 6.827 -6.218
1.386 5.773 2.285
-0.990 4.139 -3.517
3.420 5.667 -8.423
3.990 8.229 -5.557
0.814 3.215 -0.583
-0.493 6.944 -1.028
1.276 10.448 -7.117
4.139 9.339 -9.223
0.728 7.998 -9.858
2.922 8.287 -0.392
2.374 5.833 -3.137
5.159 9.960 -4.879
-0.588 2.464 -2.093
0.684 10.819 -4.748
3.365 3.775 -4.069
4.084 0.788 -1.527
1.365 8.018 -2.365
```

Summary:
The formation energy comes out at -965 meV/atom. The calculation puts the theoretical density at 4.928 g cm⁻³. Its symmetry is No. 8.

---

Record 3
First-principles (PBE-GGA) data for crystalline AsHPb4Cl4O4 at its relaxed geometry, as listed in Materials Project.

Geometry as POSCAR:
```
AsHPb4Cl4O4
1.0
8.044 0.000 0.000
0.000 10.984 0.000
0.000 3.080 13.724
Cl O Pb H As
16 16 16 4 4
Cartesian
7.215 11.423 8.109
3.582 5.492 2.988
0.475 2.427 0.024
3.193 8.134 5.616
3.546 7.920 0.024
0.829 2.642 5.616
4.461 8.572 10.737
0.439 10.984 2.988
7.604 3.080 10.737
7.568 11.637 13.701
4.497 6.145 13.701
0.518 5.554 7.965
4.540 3.019 5.759
4.851 5.930 8.109
7.526 8.511 5.759
3.504 11.046 7.965
7.588 8.386 12.323
7.567 8.351 9.607
1.393 9.713 10.938
4.478 2.894 12.323
3.545 11.205 4.117
2.628 4.221 10.938
0.477 5.713 4.117
6.450 7.328 2.733
5.415 9.844 2.786
2.428 12.228 10.992
3.566 11.170 1.402
1.594 6.736 10.992
0.456 5.678 1.402
5.616 1.836 2.733
4.499 2.859 9.607
6.650 4.351 2.786
3.290 2.250 2.546
2.090 13.736 12.964
5.991 11.418 4.557
6.075 5.926 4.557
1.969 8.139 9.167
0.731 7.742 2.546
5.954 0.328 0.760
7.312 6.322 11.178
6.258 3.237 8.041
6.111 5.820 0.760
2.237 5.335 5.683
1.932 8.244 12.964
2.053 2.647 9.167
1.785 10.827 5.683
4.753 11.814 11.178
5.807 8.729 8.041
1.972 11.324 10.967
6.072 2.741 2.757
5.994 8.233 2.757
2.050 5.832 10.967
4.429 4.129 10.964
0.407 4.444 2.760
3.615 9.936 2.760
7.637 9.621 10.964
```

Summary:
The formation energy comes out at -1406 meV/atom. The calculation puts the theoretical density at 6.083 g cm⁻³. Its symmetry is No. 14.

---

Record 4
First-principles (PBE-GGA) data for crystalline Hg2AsCl2 at its relaxed geometry, as listed in Materials Project.

Geometry as POSCAR:
```
Hg2AsCl2
1.0
-2.280 1.262 -7.898
4.320 -3.757 -6.033
-5.373 -7.425 -0.963
Hg Cl As
8 8 4
Cartesian
0.314 -1.035 -3.896
-1.417 -8.093 -6.921
-1.037 -5.592 -11.376
-3.646 -8.884 -10.999
-4.771 -5.543 -7.869
-1.916 -1.826 -7.973
1.438 -4.376 -7.025
-2.296 -4.327 -3.518
-3.845 -6.309 -11.876
-5.095 -7.631 -2.500
-1.785 -4.536 -5.886
-1.547 -5.383 -9.009
1.763 -2.288 -12.394
-0.944 -8.514 -11.056
0.512 -3.611 -3.018
-2.388 -1.405 -3.838
-3.977 -7.864 -7.085
-3.190 -4.621 -1.145
-0.143 -5.298 -13.749
0.645 -2.055 -7.810
```

Summary:
The formation energy comes out at -655 meV/atom. The calculation puts the theoretical density at 6.572 g cm⁻³. Its symmetry is No. 12.

---

Record 5
First-principles (PBE-GGA) data for crystalline Hg15As8Cl12 at its relaxed geometry, as listed in Materials Project.

Geometry as POSCAR:
```
Hg15As8Cl12
1.0
12.535 0.000 0.000
0.000 12.534 0.000
0.000 0.034 12.536
As Cl Hg
16 24 30
Cartesian
10.437 8.371 2.099
9.009 3.534 2.743
4.164 10.436 2.103
9.014 9.796 3.522
9.793 3.551 9.011
3.521 2.772 9.014
8.365 8.388 8.367
2.742 9.017 3.525
4.169 4.180 4.169
2.103 10.453 8.371
2.746 2.755 2.746
9.788 9.813 9.789
2.098 4.197 10.437
8.371 2.132 10.433
3.525 9.034 9.793
10.431 2.115 4.165
0.524 3.632 6.702
12.010 8.936 5.834
0.521 9.889 12.103
12.097 0.550 9.879
5.830 12.036 8.924
12.105 6.814 8.944
6.704 0.532 3.611
6.697 6.797 2.676
5.837 5.771 9.860
5.747 9.872 5.835
3.611 0.452 5.744
6.791 8.954 12.102
0.437 12.018 2.657
3.591 6.699 0.521
5.743 3.614 0.434
6.788 2.696 6.701
2.656 0.469 12.012
9.859 5.852 5.747
9.878 12.099 0.524
8.923 12.117 6.792
2.676 6.716 6.789
0.430 5.754 3.592
8.943 5.869 12.015
12.014 2.679 0.433
9.008 2.635 0.333
0.000 6.284 6.268
8.895 12.225 9.796
0.000 0.017 6.268
9.907 12.208 3.528
9.011 8.913 5.936
5.936 9.032 8.901
5.934 2.771 9.904
2.741 9.916 5.935
6.601 9.797 2.632
3.639 0.343 2.740
9.899 5.947 2.745
0.332 9.014 2.633
0.000 0.000 0.000
12.201 9.814 8.899
3.523 3.656 6.600
6.267 6.267 0.000
9.794 2.652 6.601
3.526 9.933 12.203
2.628 0.360 9.008
2.744 3.638 0.332
8.902 5.964 9.013
6.599 3.536 3.635
2.635 6.621 9.790
9.790 8.930 12.204
12.203 3.554 9.903
0.334 2.754 3.636
6.267 0.000 0.000
6.267 0.017 6.268
3.632 6.604 3.522
```

Summary:
The formation energy comes out at -573 meV/atom. The calculation puts the theoretical density at 6.802 g cm⁻³. Its symmetry is No. 14.

---

Record 6
First-principles (PBE-GGA) data for crystalline Hg15As8Cl12 at its relaxed geometry, as listed in Materials Project.

Geometry as POSCAR:
```
Hg15As8Cl12
1.0
-5.354 10.625 -3.961
-10.326 -6.388 -3.176
-9.405 3.807 22.923
Hg Cl As
60 48 32
Cartesian
-12.083 -2.484 8.611
-10.611 5.783 8.944
-11.091 6.664 21.331
-12.231 3.534 -2.542
-12.037 6.563 15.087
-13.719 4.498 10.758
-7.340 4.659 3.613
-16.936 5.431 8.919
-20.141 8.138 10.400
-16.819 3.214 12.570
-10.657 9.573 1.447
-19.619 7.044 14.405
-7.128 -0.224 -2.468
-7.817 1.953 7.113
-5.799 1.660 1.134
-17.766 1.214 16.131
-14.181 -0.600 -2.285
-14.374 9.678 16.847
-16.349 2.331 0.180
-12.353 9.387 10.869
-14.429 2.241 -5.866
-15.599 7.316 12.522
-9.668 7.781 5.384
-8.553 7.691 12.340
-19.132 4.132 5.590
-11.502 -5.912 -0.310
-13.757 1.779 15.042
-15.089 -0.390 10.645
-3.605 2.955 4.461
-13.675 7.221 6.471
-16.782 -0.580 20.076
-15.399 2.432 6.437
-10.502 3.558 12.599
-13.065 -0.683 4.671
-15.352 11.484 12.900
-6.337 -2.719 1.271
-11.364 3.544 5.022
-11.844 1.684 8.994
-10.896 5.408 1.063
-12.526 3.857 18.570
-7.648 7.480 -0.588
-12.129 1.313 1.114
-9.058 -0.122 3.580
-5.910 3.874 -2.520
-20.098 4.339 17.896
-16.072 5.451 16.495
-13.581 13.954 16.090
-16.398 9.810 8.784
-14.911 5.137 2.944
-13.856 -4.959 5.426
-6.380 4.758 9.880
-7.293 0.863 11.120
-2.596 -1.041 -0.341
-10.379 -2.294 -0.815
-18.384 9.113 17.939
-8.305 4.856 15.925
-21.053 4.239 11.642
-10.906 8.644 18.077
-8.690 -1.766 7.008
-15.439 6.224 -1.070
-10.003 5.779 -2.202
-8.133 11.017 2.216
-19.306 -2.022 19.300
-13.489 6.048 -3.583
-2.880 3.245 1.133
-14.713 7.706 9.245
-15.725 12.220 15.973
-9.803 -0.584 10.311
-12.826 12.925 13.657
-11.733 -3.237 5.532
-8.163 7.381 9.638
-9.220 1.055 13.641
-14.608 -3.930 7.861
-15.150 1.944 -2.542
-12.724 1.289 12.269
-11.119 6.849 11.906
-19.260 1.606 11.862
-9.521 5.276 18.634
-16.315 2.144 9.613
-9.104 4.535 6.259
-17.643 9.591 11.223
-3.473 5.488 -1.807
-17.682 5.950 18.665
-13.633 2.560 3.796
-22.621 5.622 14.345
-17.905 3.694 2.886
-12.933 7.676 -0.257
-16.415 -1.317 17.005
-7.572 5.127 12.610
-11.000 10.325 4.523
-4.827 3.398 7.168
-18.216 7.944 7.873
-11.596 0.259 -1.841
-11.947 5.932 3.824
-9.756 3.043 2.851
-8.028 -0.590 0.799
-13.826 6.421 17.719
-15.474 3.042 17.698
-19.867 3.867 8.908
-10.787 1.162 6.234
-14.573 -0.291 0.417
-18.310 4.476 15.259
-12.975 4.050 7.182
-16.665 7.855 15.277
-4.543 -0.864 2.179
-6.439 4.932 0.432
-14.460 4.947 14.335
-5.089 -2.499 -1.167
-12.744 9.036 14.963
-7.982 2.772 9.543
-12.422 3.619 0.020
-14.746 4.318 0.512
-16.158 -0.848 12.936
-16.127 1.308 14.152
-16.768 4.606 6.491
-6.576 7.932 -2.883
-19.394 1.865 18.015
-13.994 9.300 12.844
-19.453 6.226 11.976
-5.968 2.484 3.562
-8.737 -2.207 -2.790
-15.665 6.327 5.097
-13.446 -0.304 8.667
-12.061 2.709 -4.971
-11.775 2.661 16.423
-7.072 0.764 4.957
-12.692 4.676 21.003
-16.013 9.585 18.824
-14.697 -0.039 6.547
-11.307 7.688 7.364
-9.291 7.394 1.388
-8.038 7.129 3.508
-10.305 3.470 10.035
-11.276 9.843 8.582
-10.671 4.384 15.029
-11.427 -0.590 2.694
-17.131 5.528 11.482
-20.362 8.237 16.555
-5.611 1.567 -1.426
-11.459 -2.745 1.477
```

Summary:
The formation energy comes out at -572 meV/atom. The calculation puts the theoretical density at 6.791 g cm⁻³. Its symmetry is No. 33.

---

Which value of theoretical density does entry 5 give?
6.802 g cm⁻³

---

Which of these has the lowest theoretical density?
number 2